# 1
{
  "formula": "Eu2MgS4",
  "functional": "PBE",
  "state": "optimized geometry",
  "magmom_total_mub_per_fu": 12.000,
  "sg": "Fd-3m, No. 227",
  "relative_energy_mev_per_atom": 20.7,
  "lattice": [[0.0000, 5.7102, 5.7102], [5.7102, 0.0000, 5.7102], [5.7102, 5.7102, 0.0000]],
  "species": ["Eu", "Eu", "Eu", "Eu", "Mg", "Mg", "S", "S", "S", "S", "S", "S", "S", "S"],
  "frac_coords": [[0.0000, 0.0000, 0.0000], [0.0000, 0.0000, 0.5000], [0.0000, 0.5000, 0.0000], [0.5000, 0.0000, 0.0000], [0.3750, 0.3750, 0.3750], [0.6250, 0.6250, 0.6250], [0.2435, 0.7522, 0.7522], [0.2478, 0.2478, 0.2478], [0.2478, 0.2478, 0.7565], [0.2478, 0.7565, 0.2478], [0.7522, 0.2435, 0.7522], [0.7522, 0.7522, 0.2435], [0.7522, 0.7522, 0.7522], [0.7565, 0.2478, 0.2478]]
}

=====

# 2
{
  "formula": "SrRe3Se4O11",
  "functional": "PBE",
  "state": "optimized geometry",
  "magmom_total_mub_per_fu": 4.000,
  "sg": "P-1, No. 2",
  "lattice": [[9.0312, 0.0000, 0.0000], [3.6956, 9.0030, 0.0000], [2.1123, 3.6661, 10.7428]],
  "species": ["Sr", "Sr", "Re", "Re", "Re", "Re", "Re", "Re", "Se", "Se", "Se", "Se", "Se", "Se", "Se", "Se", "O", "O", "O", "O", "O", "O", "O", "O", "O", "O", "O", "O", "O", "O", "O", "O", "O", "O", "O", "O", "O", "O"],
  "frac_coords": [[0.0481, 0.1958, 0.0527], [0.9519, 0.8042, 0.9473], [0.2674, 0.9962, 0.3479], [0.3227, 0.2819, 0.4752], [0.3316, 0.9028, 0.7042], [0.6684, 0.0972, 0.2958], [0.6773, 0.7181, 0.5248], [0.7326, 0.0038, 0.6521], [0.1519, 0.1140, 0.5392], [0.3769, 0.2394, 0.2692], [0.3810, 0.7544, 0.5584], [0.4103, 0.1261, 0.6945], [0.5897, 0.8739, 0.3055], [0.6190, 0.2456, 0.4416], [0.6231, 0.7606, 0.7308], [0.8481, 0.8860, 0.4608], [0.0310, 0.9450, 0.0550], [0.0959, 0.1550, 0.2775], [0.1567, 0.3475, 0.8661], [0.2041, 0.6012, 0.1008], [0.2109, 0.4712, 0.4626], [0.2242, 0.8342, 0.8368], [0.2273, 0.4083, 0.9304], [0.2673, 0.8459, 0.3019], [0.2861, 0.6445, 0.1460], [0.3708, 0.4126, 0.8860], [0.4302, 0.9980, 0.0111], [0.5698, 0.0020, 0.9889], [0.6292, 0.5874, 0.1140], [0.7139, 0.3555, 0.8540], [0.7327, 0.1541, 0.6981], [0.7727, 0.5917, 0.0696], [0.7758, 0.1658, 0.1632], [0.7891, 0.5288, 0.5374], [0.7959, 0.3988, 0.8992], [0.8433, 0.6525, 0.1339], [0.9041, 0.8450, 0.7225], [0.9690, 0.0550, 0.9450]]
}

=====

# 3
{
  "formula": "Li7Nb8O24",
  "functional": "PBE",
  "state": "optimized geometry",
  "magmom_total_mub_per_fu": 1.002,
  "sg": "P1, No. 1",
  "relative_energy_mev_per_atom": 0.0,
  "lattice": [[7.6766, 0.0000, 0.0000], [3.0684, 8.7713, 0.0000], [3.5793, -1.2483, 13.3363]],
  "species": ["Li", "Li", "Li", "Li", "Li", "Li", "Li", "Li", "Li", "Li", "Li", "Li", "Li", "Li", "Nb", "Nb", "Nb", "Nb", "Nb", "Nb", "Nb", "Nb", "Nb", "Nb", "Nb", "Nb", "Nb", "Nb", "Nb", "Nb", "O", "O", "O", "O", "O", "O", "O", "O", "O", "O", "O", "O", "O", "O", "O", "O", "O", "O", "O", "O", "O", "O", "O", "O", "O", "O", "O", "O", "O", "O", "O", "O", "O", "O", "O", "O", "O", "O", "O", "O", "O", "O", "O", "O", "O", "O", "O", "O"],
  "frac_coords": [[0.0000, 0.0000, 0.0000], [0.0000, 0.4983, 0.4998], [0.1199, 0.1265, 0.6258], [0.1216, 0.6269, 0.1254], [0.2535, 0.2516, 0.2529], [0.2534, 0.7523, 0.7504], [0.3717, 0.8778, 0.3773], [0.3729, 0.3784, 0.8760], [0.4998, 0.0004, 0.0026], [0.4998, 0.5024, 0.5020], [0.6240, 0.6284, 0.1260], [0.6259, 0.1296, 0.6271], [0.8771, 0.3741, 0.8789], [0.8787, 0.8724, 0.3780], [0.0030, 0.8506, 0.5743], [0.0041, 0.3502, 0.0756], [0.1298, 0.9784, 0.1974], [0.1307, 0.4782, 0.6974], [0.2576, 0.1041, 0.8222], [0.2577, 0.6042, 0.3220], [0.3740, 0.7319, 0.9488], [0.3776, 0.2305, 0.4483], [0.5017, 0.3561, 0.0717], [0.5026, 0.8569, 0.5719], [0.6354, 0.4830, 0.6994], [0.6362, 0.9829, 0.1982], [0.7540, 0.1081, 0.8214], [0.7552, 0.6075, 0.3225], [0.8798, 0.2285, 0.4425], [0.8805, 0.7293, 0.9423], [0.0104, 0.6520, 0.6072], [0.0301, 0.6707, 0.8079], [0.0497, 0.2064, 0.9656], [0.0755, 0.2168, 0.1717], [0.0791, 0.7459, 0.9991], [0.1106, 0.2755, 0.4061], [0.1280, 0.7806, 0.2348], [0.1396, 0.8003, 0.4343], [0.1731, 0.3302, 0.5897], [0.1892, 0.3428, 0.7979], [0.2036, 0.8692, 0.6247], [0.2359, 0.3992, 0.0317], [0.2494, 0.9086, 0.8610], [0.2628, 0.9271, 0.0583], [0.3003, 0.4561, 0.2153], [0.3122, 0.4692, 0.4227], [0.3375, 0.9839, 0.2466], [0.3669, 0.5145, 0.6551], [0.3702, 0.0347, 0.4885], [0.3926, 0.0491, 0.6839], [0.4252, 0.5850, 0.8401], [0.4261, 0.5972, 0.0496], [0.4586, 0.1152, 0.8748], [0.4896, 0.6484, 0.2813], [0.4988, 0.1680, 0.3104], [0.5044, 0.1589, 0.1110], [0.5438, 0.7136, 0.4627], [0.5470, 0.7137, 0.6684], [0.5846, 0.2397, 0.4970], [0.6081, 0.7749, 0.9194], [0.6179, 0.2884, 0.7389], [0.6371, 0.3020, 0.9329], [0.6770, 0.8328, 0.0921], [0.6908, 0.8467, 0.2986], [0.7092, 0.3782, 0.1135], [0.7388, 0.8948, 0.5322], [0.7467, 0.4194, 0.3723], [0.7709, 0.4214, 0.5621], [0.8016, 0.9729, 0.7080], [0.8114, 0.9704, 0.9203], [0.8395, 0.4826, 0.7513], [0.8712, 0.0172, 0.1529], [0.8819, 0.5342, 0.9831], [0.8910, 0.5478, 0.1847], [0.9321, 0.0741, 0.3397], [0.9378, 0.0967, 0.5445], [0.9593, 0.6193, 0.3736], [0.9891, 0.1494, 0.7833]]
}

=====

no.,formation energy (meV per atom),calculated volume (Å³ per atom)
1,-1779,26.60
2,-588,22.99
3,-2846,11.51